(1)
Entry from the Materials Project database: ZrNiH3 after structural relaxation (PBE).

Values from the calculation:
Volume = 8.011 Å³ per atom
Crystal system = orthorhombic
Uncorrected energy = -5.33 eV/atom
Energy of formation = -0.537 eV per atom

abc: 3.5160 10.5197 4.3317
angles: 90.00 90.00 90.00
With the nearest neighbours (Å) after each atom.
Space group Cmcm (No. 63)
Inequivalent atoms, fractional coordinates:
Zr (0.0000, 0.1402, 0.2500) x4  9 H 2.11-2.29
Ni (0.0000, 0.4312, 0.2500) x4  4 H 1.66-1.76
H (0.0000, 0.0682, 0.7500) x4  2 Ni 1.76
H (0.0000, 0.3133, 0.5032) x8  1 Ni 1.66

=====

(2)
Entry from the Materials Project database: Rb3NpH4O7 after structural relaxation (PBE).

Values from the calculation:
Magnetization = 0.00 μB per cell
Volume = 15.677 Å³ per atom
Crystal system = monoclinic
Uncorrected energy = -6.06 eV/atom
Energy of formation = -2.105 eV per atom

abc: 6.6424 11.5637 13.8408
angles: 90.00 117.78 90.00
With the nearest neighbours (Å) after each atom.
Space group P2_1/c (No. 14)
Inequivalent atoms, fractional coordinates:
Rb (0.0077, 0.2205, 0.2419) x4  4 H 2.93-3.24, 5 O 2.95-3.06
Rb (0.2584, 0.6209, 0.0517) x4  7 O 2.92-3.27, 2 H 2.99-3.04
Rb (0.4642, 0.5390, 0.6364) x4  6 O 2.97-3.19, 4 H 3.16-3.22
Np (0.3732, 0.2061, 0.5916) x4  4 O 1.91-1.92
H (0.0156, 0.1202, 0.0492) x4  1 O 0.98
H (0.0717, 0.5433, 0.7066) x4  1 O 1.01
H (0.0783, 0.0776, 0.9176) x4  1 O 1.02
H (0.3042, 0.5184, 0.8642) x4  1 O 0.98
O (0.0564, 0.1685, 0.0029) x4  1 H 0.98
O (0.0728, 0.0206, 0.8606) x4  2 H 1.01-1.02
O (0.2004, 0.1128, 0.6403) x4  1 Np 1.91
O (0.2620, 0.1157, 0.4600) x4  1 Np 1.92, 1 H 2.14
O (0.3118, 0.5802, 0.8173) x4  1 H 0.98
O (0.4568, 0.6992, 0.4576) x4  1 Np 1.91
O (0.4894, 0.2069, 0.2252) x4  1 Np 1.92

=====

(3)
Entry from the Materials Project database: Np2H12SO14 after structural relaxation (PBE).

Values from the calculation:
Magnetization = 16.00 μB per cell
Volume = 10.821 Å³ per atom
Crystal system = monoclinic
Uncorrected energy = -6.38 eV/atom
Energy of formation = -1.882 eV per atom

abc: 7.9817 19.1985 8.2405
angles: 90.00 96.26 90.00
With the nearest neighbours (Å) after each atom.
Space group P2_1/c (No. 14)
Inequivalent atoms, fractional coordinates:
Np (0.1607, 0.1435, 0.1969) x4  2 O 1.84-1.88
Np (0.2598, 0.1389, 0.6986) x4  2 O 1.87-1.88
H (0.0416, 0.5009, 0.2101) x4  1 O 0.99
H (0.0919, 0.6558, 0.6275) x4  1 O 0.99
H (0.1708, 0.7009, 0.4938) x4  1 O 1.00
H (0.1986, 0.5192, 0.1136) x4  1 O 0.99
H (0.2501, 0.5884, 0.4981) x4  1 O 1.00
H (0.2870, 0.5111, 0.4476) x4  1 O 0.98
H (0.4009, 0.7130, 0.8231) x4  1 O 1.00
H (0.4247, 0.5651, 0.8784) x4  1 O 0.99
H (0.4374, 0.5480, 0.6914) x4  1 O 1.00
H (0.4385, 0.7350, 0.6459) x4  1 O 0.98
H (0.4634, 0.6145, 0.1871) x4  1 O 0.99
H (0.4752, 0.5949, 0.3726) x4  1 O 1.00
S (0.1722, 0.6573, 0.0003) x4  4 O 1.48-1.50
O (0.0520, 0.6469, 0.8488) x4  1 S 1.50
O (0.0788, 0.6670, 0.1440) x4  1 S 1.48
O (0.1111, 0.6561, 0.5109) x4  2 H 0.99-1.00
O (0.1162, 0.0496, 0.2058) x4  1 H 1.77, 1 Np 1.84
O (0.1469, 0.0184, 0.6735) x4  2 H 0.99
O (0.1949, 0.2400, 0.1871) x4  1 Np 1.88
O (0.2376, 0.1305, 0.9226) x4  1 Np 1.88
O (0.2759, 0.7213, 0.9784) x4  1 S 1.50
O (0.2832, 0.1440, 0.4752) x4  1 Np 1.87
O (0.2869, 0.5959, 0.0240) x4  1 S 1.49
O (0.3417, 0.5530, 0.4955) x4  2 H 0.98-1.00
O (0.4690, 0.1231, 0.2075) x4  2 H 0.99-1.00
O (0.4696, 0.7012, 0.7331) x4  2 H 0.98-1.00
O (0.4942, 0.0538, 0.7004) x4  2 H 0.99-1.00

=====

(4)
Entry from the Materials Project database: Sr3H5Os2O8 after structural relaxation (PBE).

Values from the calculation:
Magnetization = 2.00 μB per cell
E above lowest polymorph = 0 meV per atom
Volume = 14.950 Å³ per atom
Crystal system = triclinic
Uncorrected energy = -5.95 eV/atom
Energy of formation = -1.584 eV per atom

abc: 5.8780 9.9435 10.7979
angles: 63.38 87.12 73.32
With the nearest neighbours (Å) after each atom.
Space group P-1 (No. 2)
Inequivalent atoms, fractional coordinates:
Sr (0.0545, 0.4121, 0.3467) x2  5 O 2.48-2.71, 2 H 2.55-2.56
Sr (0.2550, 0.9510, 0.4024) x2  5 O 2.44-2.72
Sr (0.3920, 0.7833, 0.0811) x2  5 O 2.46-2.59
H (0.0894, 0.8139, 0.8575) x2  1 O 0.98
H (0.2348, 0.1304, 0.6281) x2  1 Os 1.72
H (0.3147, 0.3021, 0.6877) x2  1 Os 1.73
H (0.3465, 0.4040, 0.1650) x2  1 Os 1.67
H (0.4973, 0.6358, 0.6117) x2  1 Os 1.68
Os (0.1088, 0.1978, 0.7449) x2  2 H 1.72-1.73, 4 O 1.81-1.92
Os (0.3944, 0.6896, 0.7360) x2  2 H 1.67-1.68, 2 O 1.79-1.81
O (0.0249, 0.6862, 0.1554) x2  1 Os 1.90
O (0.0667, 0.6410, 0.4155) x2  1 Os 1.84
O (0.0694, 0.8194, 0.6212) x2  1 Os 2.06
O (0.1110, 0.9249, 0.2037) x2  1 Os 1.92
O (0.2581, 0.7531, 0.8855) x2  1 H 0.98
O (0.3378, 0.5027, 0.8132) x2  1 Os 1.79
O (0.3594, 0.0486, 0.8644) x2  1 Os 1.81
O (0.4729, 0.1529, 0.3575) x2  1 Os 1.81

=====

(5)
Entry from the Materials Project database: P2H4PbO8 after structural relaxation (PBE).

Values from the calculation:
Magnetization = 0.00 μB per cell
E above lowest polymorph = 0 meV per atom
Volume = 12.315 Å³ per atom
Crystal system = triclinic
Uncorrected energy = -6.12 eV/atom
Energy of formation = -1.969 eV per atom

abc: 5.9727 8.3189 8.4079
angles: 105.40 110.29 95.54
With the nearest neighbours (Å) after each atom.
Space group P-1 (No. 2)
Inequivalent atoms, fractional coordinates:
P (0.0197, 0.2513, 0.1641) x2  4 O 1.50-1.61
P (0.3145, 0.2787, 0.6913) x2  4 O 1.50-1.65
H (0.1936, 0.3310, 0.9138) x2  1 O 0.99
H (0.2096, 0.0066, 0.9472) x2  1 O 0.99
H (0.2170, 0.7509, 0.1119) x2  1 O 0.99
H (0.4465, 0.0451, 0.7202) x2  1 O 0.98
Pb (0.3012, 0.6607, 0.5527) x2  6 O 2.49-2.65
O (0.0027, 0.4071, 0.3015) x2  1 P 1.53
O (0.0448, 0.7151, 0.0253) x2  1 H 0.99
O (0.0539, 0.1997, 0.5701) x2  1 P 1.50
O (0.2057, 0.8938, 0.8679) x2  1 H 0.99
O (0.2554, 0.1897, 0.2005) x2  1 P 1.50
O (0.3494, 0.3346, 0.8951) x2  1 H 0.99
O (0.4489, 0.4183, 0.6488) x2  1 P 1.54
O (0.4987, 0.8546, 0.3066) x2  1 H 0.98

=====

(6)
Entry from the Materials Project database: PHPbO4 after structural relaxation (PBE).

Values from the calculation:
Magnetization = 0.00 μB per cell
Volume = 13.263 Å³ per atom
Crystal system = monoclinic
Uncorrected energy = -6.40 eV/atom
Energy of formation = -2.177 eV per atom

abc: 4.7970 6.6660 5.8509
angles: 90.00 97.06 90.00
With the nearest neighbours (Å) after each atom.
Space group P2/c (No. 13)
Inequivalent atoms, fractional coordinates:
P (0.0000, 0.2113, 0.2500) x2  4 O 1.55-1.56
H (0.0000, 0.5000, 0.0000) x2  2 O 1.21
Pb (0.5000, 0.1994, 0.7500) x2  4 O 2.40-2.53
O (0.1178, 0.3467, 0.0655) x4  1 H 1.21
O (0.2421, 0.0813, 0.3714) x4  1 P 1.55

=====

Question: Which of these has the lowest volume?
Answer: ZrNiH3